# 1
Computed, not measured: YMg14ZnO16 after structural relaxation at the PBE level of DFT.

Results
ρ, g/cm3: 3.8
Magnetic moment, μB per formula unit: 0.01
E_tot, eV per atom: -5.978
Offset from the most stable computed form, meV per atom: 5

Geometry as CIF:
```
data_YMg14ZnO16
_symmetry_space_group_name_H-M 'P m m m'
_symmetry_Int_Tables_number 47
_cell_length_a 4.3496
_cell_length_b 8.7064
_cell_length_c 8.7746
_cell_angle_alpha 90.00
_cell_angle_beta 90.00
_cell_angle_gamma 90.00
loop_
_symmetry_equiv_pos_as_xyz
'x,y,z'
'-x,-y,-z'
'-x,-y,z'
'x,y,-z'
'x,-y,-z'
'-x,y,z'
'-x,y,-z'
'x,-y,z'
loop_
_atom_site_label
_atom_site_fract_x
_atom_site_fract_y
_atom_site_fract_z
Y1 0.0000 0.0000 0.0000
Mg1 0.0000 0.2567 0.2596
Mg2 0.0000 0.5000 0.0000
Mg3 0.0000 0.5000 0.5000
Mg4 0.5000 0.0000 0.2652
Mg5 0.5000 0.2523 0.5000
Mg6 0.5000 0.2631 0.0000
Mg7 0.5000 0.5000 0.2534
Zn1 0.0000 0.0000 0.5000
O1 0.0000 0.0000 0.2505
O2 0.0000 0.2599 0.0000
O3 0.0000 0.2662 0.5000
O4 0.0000 0.5000 0.2477
O5 0.5000 0.0000 0.0000
O6 0.5000 0.0000 0.5000
O7 0.5000 0.2505 0.2481
O8 0.5000 0.5000 0.0000
O9 0.5000 0.5000 0.5000
```

# 2
Computed, not measured: YMg6ZnO8 after structural relaxation at the PBE level of DFT.

Results
ρ, g/cm3: 4.0
Magnetic moment, μB per formula unit: 0.00
E_tot, eV per atom: -6.011
Offset from the most stable computed form, meV per atom: 0

Geometry as CIF:
```
data_YMg6ZnO8
_symmetry_space_group_name_H-M 'P 4/m m m'
_symmetry_Int_Tables_number 123
_symmetry_space_group_name_Hall '-P 4 2'
_cell_length_a 4.4237
_cell_length_b 4.4237
_cell_length_c 9.0205
_cell_angle_alpha 90.00
_cell_angle_beta 90.00
_cell_angle_gamma 90.00
loop_
_atom_site_label
_atom_site_fract_x
_atom_site_fract_y
_atom_site_fract_z
Y1 0.0000 0.0000 0.0000
Mg1 0.0000 0.0000 0.5000
Mg2 0.0000 0.5000 0.2674
Mg3 0.5000 0.5000 0.5000
Zn1 0.5000 0.5000 0.0000
O1 0.0000 0.0000 0.2592
O2 0.0000 0.5000 0.0000
O3 0.0000 0.5000 0.5000
O4 0.5000 0.5000 0.2718
```

# 3
Computed, not measured: YMg14ZnO16 after structural relaxation at the PBE level of DFT.

Results
ρ, g/cm3: 3.8
Magnetic moment, μB per formula unit: 0.01
E_tot, eV per atom: -5.983
Offset from the most stable computed form, meV per atom: 0

Geometry as CIF:
```
data_YMg14ZnO16
_symmetry_space_group_name_H-M 'P 4/m m m'
_symmetry_Int_Tables_number 123
_symmetry_space_group_name_Hall '-P 4 2'
_cell_length_a 8.7170
_cell_length_b 8.7170
_cell_length_c 4.3507
_cell_angle_alpha 90.00
_cell_angle_beta 90.00
_cell_angle_gamma 90.00
loop_
_atom_site_label
_atom_site_fract_x
_atom_site_fract_y
_atom_site_fract_z
Y1 0.0000 0.0000 0.0000
Mg1 0.0000 0.2641 0.5000
Mg2 0.0000 0.5000 0.0000
Mg3 0.2529 0.5000 0.5000
Mg4 0.2591 0.2591 0.0000
Zn1 0.5000 0.5000 0.0000
O1 0.0000 0.0000 0.5000
O2 0.0000 0.2573 0.0000
O3 0.0000 0.5000 0.5000
O4 0.2367 0.5000 0.0000
O5 0.2474 0.2474 0.5000
O6 0.5000 0.5000 0.5000
```

# 4
Computed, not measured: YMg6ZnO8 after structural relaxation at the PBE level of DFT.

Results
ρ, g/cm3: 4.0
Magnetic moment, μB per formula unit: 0.11
E_tot, eV per atom: -5.983
Offset from the most stable computed form, meV per atom: 28

Geometry as CIF:
```
data_YMg6ZnO8
_symmetry_space_group_name_H-M 'P 4/m m m'
_symmetry_Int_Tables_number 123
_symmetry_space_group_name_Hall '-P 4 2'
_cell_length_a 4.4369
_cell_length_b 4.4369
_cell_length_c 8.9822
_cell_angle_alpha 90.00
_cell_angle_beta 90.00
_cell_angle_gamma 90.00
loop_
_atom_site_label
_atom_site_fract_x
_atom_site_fract_y
_atom_site_fract_z
Y1 0.0000 0.0000 0.0000
Mg1 0.0000 0.5000 0.2677
Mg2 0.5000 0.5000 0.0000
Mg3 0.5000 0.5000 0.5000
Zn1 0.0000 0.0000 0.5000
O1 0.0000 0.0000 0.2505
O2 0.0000 0.5000 0.0000
O3 0.0000 0.5000 0.5000
O4 0.5000 0.5000 0.2499
```

# 5
Computed, not measured: MgZnO3 after structural relaxation at the PBE level of DFT.

Results
ρ, g/cm3: 4.1
Magnetic moment, μB per formula unit: 0.05
E_tot, eV per atom: -4.363

Geometry as CIF:
```
data_MgZnO3
_symmetry_space_group_name_H-M 'P m -3 m'
_symmetry_Int_Tables_number 221
_symmetry_space_group_name_Hall '-P 4 2 3'
_cell_length_a 3.8203
_cell_length_b 3.8203
_cell_length_c 3.8203
_cell_angle_alpha 90.00
_cell_angle_beta 90.00
_cell_angle_gamma 90.00
loop_
_atom_site_label
_atom_site_fract_x
_atom_site_fract_y
_atom_site_fract_z
Mg1 0.0000 0.0000 0.0000
Zn1 0.5000 0.5000 0.5000
O1 0.0000 0.5000 0.5000
```

# 6
Computed, not measured: MgOs after structural relaxation at the PBE level of DFT.

Results
ρ, g/cm3: 11.1
Magnetic moment, μB per formula unit: 0.00
E_tot, eV per atom: -6.135

Geometry as CIF:
```
data_MgOs
_symmetry_space_group_name_H-M 'P m m a'
_symmetry_Int_Tables_number 51
_cell_length_a 4.5146
_cell_length_b 2.8173
_cell_length_c 5.0311
_cell_angle_alpha 90.00
_cell_angle_beta 90.00
_cell_angle_gamma 90.00
loop_
_symmetry_equiv_pos_as_xyz
'x,y,z'
'-x,-y,-z'
'-x+1/2,-y,z'
'x+1/2,y,-z'
'x+1/2,-y,-z'
'-x+1/2,y,z'
'-x,y,-z'
'x,-y,z'
loop_
_atom_site_label
_atom_site_fract_x
_atom_site_fract_y
_atom_site_fract_z
Mg1 0.2500 0.0000 0.1488
Os1 0.2500 0.5000 0.6215
```

# 7
Computed, not measured: Mg2OsS6 after structural relaxation at the PBE level of DFT.

Results
ρ, g/cm3: 4.1
Magnetic moment, μB per formula unit: 0.00
E_tot, eV per atom: -4.287

Geometry as CIF:
```
data_Mg2OsS6
_symmetry_space_group_name_H-M 'F m -3 m'
_symmetry_Int_Tables_number 225
_symmetry_space_group_name_Hall '-F 4 2 3'
_cell_length_a 8.8688
_cell_length_b 8.8688
_cell_length_c 8.8688
_cell_angle_alpha 90.00
_cell_angle_beta 90.00
_cell_angle_gamma 90.00
loop_
_atom_site_label
_atom_site_fract_x
_atom_site_fract_y
_atom_site_fract_z
Mg1 0.2500 0.2500 0.2500
Os1 0.0000 0.0000 0.0000
S1 0.0000 0.0000 0.2621
```

# 8
Computed, not measured: Tm2MgOs after structural relaxation at the PBE level of DFT.

Results
ρ, g/cm3: 10.8
E_tot, eV per atom: -5.643

Geometry as CIF:
```
data_Tm2MgOs
_symmetry_space_group_name_H-M 'F m -3 m'
_symmetry_Int_Tables_number 225
_symmetry_space_group_name_Hall '-F 4 2 3'
_cell_length_a 6.9820
_cell_length_b 6.9820
_cell_length_c 6.9820
_cell_angle_alpha 90.00
_cell_angle_beta 90.00
_cell_angle_gamma 90.00
loop_
_atom_site_label
_atom_site_fract_x
_atom_site_fract_y
_atom_site_fract_z
Tm1 0.2500 0.2500 0.2500
Mg1 0.0000 0.0000 0.0000
Os1 0.0000 0.0000 0.5000
```

# 9
Computed, not measured: Mg2P after structural relaxation at the PBE level of DFT.

Results
ρ, g/cm3: 2.3
Magnetic moment, μB per formula unit: 0.00
E_tot, eV per atom: -3.226
Offset from the most stable computed form, meV per atom: 1

Geometry as CIF:
```
data_Mg2P
_symmetry_space_group_name_H-M 'C m c m'
_symmetry_Int_Tables_number 63
_symmetry_space_group_name_Hall '-C 2c 2'
_cell_length_a 3.8043
_cell_length_b 10.7031
_cell_length_c 5.5770
_cell_angle_alpha 90.00
_cell_angle_beta 90.00
_cell_angle_gamma 90.00
loop_
_atom_site_label
_atom_site_fract_x
_atom_site_fract_y
_atom_site_fract_z
Mg1 0.0000 0.0000 0.0000
Mg2 0.0000 0.2965 0.2500
P1 0.0000 0.3741 0.7500
```

# 10
Computed, not measured: Mg3P2 after structural relaxation at the PBE level of DFT.

Results
ρ, g/cm3: 2.0
E_tot, eV per atom: -3.792

Geometry as CIF:
```
data_Mg3P2
_symmetry_space_group_name_H-M 'I a -3'
_symmetry_Int_Tables_number 206
_symmetry_space_group_name_Hall '-I 2b 2c 3'
_cell_length_a 12.0693
_cell_length_b 12.0693
_cell_length_c 12.0693
_cell_angle_alpha 90.00
_cell_angle_beta 90.00
_cell_angle_gamma 90.00
loop_
_atom_site_label
_atom_site_fract_x
_atom_site_fract_y
_atom_site_fract_z
Mg1 0.1135 0.1463 0.6203
P1 0.0000 0.2500 0.4762
P2 0.2500 0.2500 0.2500
```

# 11
Computed, not measured: Mg2P after structural relaxation at the PBE level of DFT.

Results
ρ, g/cm3: 1.5
Magnetic moment, μB per formula unit: 0.18
E_tot, eV per atom: -2.830
Offset from the most stable computed form, meV per atom: 397

Geometry as CIF:
```
data_Mg2P
_symmetry_space_group_name_H-M 'P n -3 m'
_symmetry_Int_Tables_number 224
_cell_length_a 5.6667
_cell_length_b 5.6667
_cell_length_c 5.6667
_cell_angle_alpha 90.00
_cell_angle_beta 90.00
_cell_angle_gamma 90.00
loop_
_symmetry_equiv_pos_as_xyz
'x,y,z'
'-x,-y,-z'
'-y,x+1/2,z+1/2'
'y,-x+1/2,-z+1/2'
'-x+1/2,-y+1/2,z'
'x+1/2,y+1/2,-z'
'y+1/2,-x,z+1/2'
'-y+1/2,x,-z+1/2'
'x,-y+1/2,-z+1/2'
'-x,y+1/2,z+1/2'
'-y,-x,-z'
'y,x,z'
'-x+1/2,y,-z+1/2'
'x+1/2,-y,z+1/2'
'y+1/2,x+1/2,-z'
'-y+1/2,-x+1/2,z'
'z,x,y'
'-z,-x,-y'
'z+1/2,-y,x+1/2'
'-z+1/2,y,-x+1/2'
'z,-x+1/2,-y+1/2'
'-z,x+1/2,y+1/2'
'z+1/2,y+1/2,-x'
'-z+1/2,-y+1/2,x'
'-z+1/2,x,-y+1/2'
'z+1/2,-x,y+1/2'
'-z,-y,-x'
'z,y,x'
'-z+1/2,-x+1/2,y'
'z+1/2,x+1/2,-y'
'-z,y+1/2,x+1/2'
'z,-y+1/2,-x+1/2'
'y,z,x'
'-y,-z,-x'
'x+1/2,z+1/2,-y'
'-x+1/2,-z+1/2,y'
'-y+1/2,z,-x+1/2'
'y+1/2,-z,x+1/2'
'-x,z+1/2,y+1/2'
'x,-z+1/2,-y+1/2'
'-y+1/2,-z+1/2,x'
'y+1/2,z+1/2,-x'
'-x,-z,-y'
'x,z,y'
'y,-z+1/2,-x+1/2'
'-y,z+1/2,x+1/2'
'x+1/2,-z,y+1/2'
'-x+1/2,z,-y+1/2'
loop_
_atom_site_label
_atom_site_fract_x
_atom_site_fract_y
_atom_site_fract_z
Mg1 0.0000 0.0000 0.0000
P1 0.2500 0.2500 0.2500
```

# 12
Computed, not measured: MgP after structural relaxation at the PBE level of DFT.

Results
ρ, g/cm3: 2.3
Magnetic moment, μB per formula unit: 0.00
E_tot, eV per atom: -3.909

Geometry as CIF:
```
data_MgP
_symmetry_space_group_name_H-M 'R 3 2'
_symmetry_Int_Tables_number 155
_symmetry_space_group_name_Hall 'R 3 2"'
_cell_length_a 6.7189
_cell_length_b 6.7189
_cell_length_c 9.0319
_cell_angle_alpha 90.00
_cell_angle_beta 90.00
_cell_angle_gamma 120.00
loop_
_atom_site_label
_atom_site_fract_x
_atom_site_fract_y
_atom_site_fract_z
Mg1 0.0000 0.3769 0.0000
P1 0.0000 0.0000 0.1225
P2 0.0000 0.0000 0.5000
```